Computed, not measured: a relaxed NaNb3AlSiP5O24 crystal at the PBE-GGA level of DFT.

The structure in extended XYZ format:
```
105
Lattice="8.729 -0.004 -0.006 -4.368 7.555 0.013 -0.015 0.030 22.480" Properties=species:S:1:pos:R:3 pbc="T T T"
O -2.843 7.375 20.494
O 1.605 0.273 6.884
O 5.337 3.824 3.079
O -0.622 3.611 5.871
O 1.009 3.743 1.619
O 5.866 2.276 5.450
O -0.654 1.447 20.462
O 7.155 0.260 18.153
O 3.427 3.794 20.792
O 0.981 1.188 18.234
O 0.662 3.558 10.632
O -1.617 4.792 1.632
O 3.425 6.336 20.436
O 4.975 4.037 16.708
O 1.056 3.782 8.163
O 4.934 1.128 9.581
O -2.747 7.346 4.373
O 0.574 3.615 17.124
O 7.742 1.221 6.940
O 0.593 1.476 15.563
O -1.036 3.748 19.389
O 3.743 3.918 5.455
O -1.646 4.766 8.171
O 3.408 6.298 4.304
O 2.828 2.323 16.697
O 2.737 2.706 3.075
O 4.939 3.977 0.568
O -0.655 6.616 19.393
O 3.780 3.995 11.824
O 1.534 5.303 5.875
O 3.825 6.067 6.960
O 3.372 1.303 11.821
O 2.854 2.752 9.574
O 3.369 1.244 5.446
O 3.755 6.044 13.294
O 0.616 6.548 1.631
O 2.737 7.355 15.634
O -0.999 6.382 21.849
O 5.906 2.306 11.817
O 2.817 2.297 0.563
O -1.648 5.324 17.115
O -1.029 6.334 5.862
O 4.980 6.063 1.961
O -1.624 5.203 10.645
O -3.412 6.283 15.642
O 1.614 0.242 13.272
O -3.374 6.254 9.240
O 5.289 3.737 9.581
O 0.936 6.373 10.646
O 1.635 4.846 19.383
O 0.559 6.622 8.171
O 1.635 5.279 21.839
O 7.137 0.233 1.937
O 7.681 1.272 13.257
O 1.624 4.806 12.884
O 5.387 1.284 16.706
O 3.723 1.129 20.800
O 1.012 1.253 1.944
O 5.883 2.731 20.793
O 5.959 2.761 14.331
O 2.713 7.376 9.254
O 0.986 6.374 17.113
O 5.013 1.012 3.074
O 5.337 1.289 0.562
O -0.587 1.493 4.291
O -1.018 3.744 12.885
O 3.758 1.040 14.331
O 3.366 3.794 14.334
O -0.614 6.580 12.894
O -0.658 3.541 21.839
O 0.678 1.518 9.207
O 4.886 6.062 18.165
Nb 4.315 7.546 8.123
Nb -0.008 5.044 11.816
Nb 8.696 0.015 3.195
Nb 4.336 2.540 15.535
Nb 4.366 2.538 4.231
Nb -0.001 0.061 14.447
Nb -0.001 5.033 6.975
Nb 0.001 5.035 0.452
Nb -0.007 5.046 18.235
Al 0.010 0.031 19.222
Al 4.345 2.548 21.973
Al 4.354 2.539 10.790
P 3.132 0.447 13.037
P 2.453 0.016 5.639
P 1.927 2.505 1.759
P 1.159 7.293 9.425
P -1.319 7.321 20.610
P 5.551 5.482 16.945
P -1.329 2.808 20.608
P 3.172 4.645 13.041
P 2.595 5.065 20.603
P 6.764 2.507 13.038
P 5.579 4.640 1.759
P 1.348 2.899 9.414
P 6.306 0.030 16.933
P 5.583 0.412 1.760
P -2.541 4.956 9.420
Na -0.005 0.032 22.302
Na 4.341 2.532 18.886
Na 4.362 2.528 7.617
Si 3.131 5.414 5.647
Si 7.475 2.135 5.631
Si 1.200 2.101 16.973
```

- Formation energy: -2.941 eV/atom
- Corrected total energy (MP2020 scheme): -8.273 eV per atom